# 1
# NaNbSi3Sn3S3O24, relaxed, DFT PBE
data_NaNbSi3Sn3S3O24
_symmetry_space_group_name_H-M 'P 1'
_symmetry_Int_Tables_number 1
_symmetry_space_group_name_Hall 'P 1'
_cell_length_a 8.845
_cell_length_b 8.855
_cell_length_c 23.077
_cell_angle_alpha 88.97
_cell_angle_beta 89.50
_cell_angle_gamma 60.26
loop_
_atom_site_label
_atom_site_fract_x
_atom_site_fract_y
_atom_site_fract_z
Na1 0.000 0.000 0.000
Na2 0.034 0.957 0.506
Na3 0.685 0.629 0.165
Nb1 0.369 0.317 0.698
Nb2 0.698 0.644 0.817
Nb3 0.706 0.632 0.314
Si1 0.038 0.257 0.254
Si2 0.313 0.693 0.253
Si3 0.316 0.975 0.755
Si4 0.353 0.611 0.587
Si5 0.649 0.312 0.087
Si6 0.705 0.924 0.922
Si7 0.752 0.265 0.753
Si8 0.976 0.653 0.423
Si9 0.991 0.353 0.924
Sn1 0.013 0.002 0.860
Sn2 0.024 0.993 0.151
Sn3 0.038 0.967 0.356
Sn4 0.042 0.976 0.655
Sn5 0.344 0.333 0.483
Sn6 0.358 0.328 0.192
Sn7 0.379 0.295 0.977
Sn8 0.690 0.651 0.528
Sn9 0.701 0.631 0.021
S1 0.027 0.689 0.755
S2 0.067 0.608 0.088
S3 0.070 0.310 0.587
S4 0.363 0.020 0.088
S5 0.400 0.650 0.921
S6 0.403 0.941 0.423
S7 0.645 0.029 0.587
S8 0.696 0.351 0.422
S9 0.734 0.979 0.255
O1 0.020 0.157 0.920
O2 0.043 0.157 0.590
O3 0.053 0.157 0.315
O4 0.053 0.782 0.094
O5 0.066 0.761 0.805
O6 0.140 0.501 0.142
O7 0.157 0.327 0.638
O8 0.162 0.473 0.425
O9 0.169 0.361 0.931
O10 0.170 0.527 0.036
O11 0.176 0.803 0.592
O12 0.179 0.275 0.533
O13 0.181 0.511 0.745
O14 0.192 0.014 0.811
O15 0.200 0.764 0.313
O16 0.205 0.279 0.243
O17 0.205 0.998 0.091
O18 0.221 0.968 0.420
O19 0.226 0.803 0.913
O20 0.232 0.816 0.196
O21 0.254 0.925 0.696
O22 0.322 0.529 0.528
O23 0.333 0.150 0.738
O24 0.334 0.128 0.036
O25 0.349 0.498 0.248
O26 0.373 0.485 0.642
O27 0.382 0.100 0.141
O28 0.388 0.491 0.926
O29 0.397 0.110 0.430
O30 0.470 0.684 0.975
O31 0.475 0.829 0.476
O32 0.504 0.857 0.371
O33 0.507 0.678 0.267
O34 0.511 0.626 0.870
O35 0.511 0.815 0.769
O36 0.521 0.845 0.084
O37 0.532 0.115 0.923
O38 0.533 0.621 0.580
O39 0.538 0.114 0.638
O40 0.540 0.332 0.427
O41 0.542 0.334 0.146
O42 0.552 0.291 0.741
O43 0.557 0.290 0.029
O44 0.560 0.126 0.247
O45 0.566 0.134 0.532
O46 0.658 0.856 0.583
O47 0.663 0.492 0.084
O48 0.668 0.463 0.369
O49 0.681 0.825 0.866
O50 0.715 0.820 0.263
O51 0.720 0.457 0.766
O52 0.723 0.430 0.474
O53 0.723 0.819 0.983
O54 0.809 0.009 0.307
O55 0.813 0.136 0.808
O56 0.821 0.010 0.591
O57 0.844 0.133 0.090
O58 0.846 0.938 0.203
O59 0.853 0.178 0.415
O60 0.856 0.186 0.692
O61 0.859 0.684 0.481
O62 0.863 0.458 0.266
O63 0.868 0.421 0.982
O64 0.869 0.636 0.367
O65 0.874 0.667 0.761
O66 0.886 0.471 0.867
O67 0.887 0.632 0.085
O68 0.888 0.927 0.916
O69 0.900 0.471 0.580
O70 0.971 0.198 0.199
O71 0.992 0.795 0.700
O72 0.993 0.831 0.417
# * DFT formation energy: -2.336 eV/atom

# 2
# Ca2B3ClO8, relaxed, DFT PBE
data_Ca2B3ClO8
_symmetry_space_group_name_H-M 'P 1 21/c 1'
_symmetry_Int_Tables_number 14
_symmetry_space_group_name_Hall '-P 2ybc'
_cell_length_a 8.312
_cell_length_b 7.333
_cell_length_c 12.539
_cell_angle_alpha 90.00
_cell_angle_beta 94.66
_cell_angle_gamma 90.00
loop_
_atom_site_label
_atom_site_fract_x
_atom_site_fract_y
_atom_site_fract_z
Ca1 0.032 0.154 0.203
Ca2 0.401 0.652 0.742
B1 0.091 0.725 0.579
B2 0.173 0.583 0.930
B3 0.295 0.000 0.612
Cl1 0.407 0.550 0.385
O1 0.045 0.155 0.870
O2 0.070 0.714 0.969
O3 0.165 0.565 0.822
O4 0.173 0.633 0.152
O5 0.192 0.566 0.601
O6 0.271 0.169 0.668
O7 0.280 0.016 0.497
O8 0.452 0.568 0.154
# * DFT formation energy: -2.377 eV/atom